(1)
Below is a relaxed CeCd2Ag crystal, with properties calculated at the PBE level.

The structure in CIF format:
```
data_CeCd2Ag
_chemical_formula_sum 'Ce4 Cd8 Ag4'
_space_group_name_H-M_alt 'F m -3 m'
_space_group_IT_number 225
_space_group_name_Hall '-F 4 2 3'
_cell_length_a 7.2438
_cell_length_b 7.2438
_cell_length_c 7.2438
_cell_angle_alpha 90.00
_cell_angle_beta 90.00
_cell_angle_gamma 90.00
loop_
_atom_site_label
_atom_site_fract_x
_atom_site_fract_y
_atom_site_fract_z
_atom_site_occupancy
Ce1 0.0000 0.0000 0.0000 1
Cd1 0.2500 0.2500 0.2500 1
Ag1 0.0000 0.0000 0.5000 1
```

Output
- Uncorrected energy: -2.811 eV per atom
- Crystal system: cubic
- Spin magnetization: 3.9 Bohr magnetons per cell
- Formation energy from the elements: -158.2 meV per atom



(2)
Below is a relaxed Pu2HgBi crystal, with properties calculated at the PBE level.

The structure in CIF format:
```
data_Pu2HgBi
_chemical_formula_sum 'Pu8 Hg4 Bi4'
_space_group_name_H-M_alt 'F m -3 m'
_space_group_IT_number 225
_space_group_name_Hall '-F 4 2 3'
_cell_length_a 7.6785
_cell_length_b 7.6785
_cell_length_c 7.6785
_cell_angle_alpha 90.00
_cell_angle_beta 90.00
_cell_angle_gamma 90.00
loop_
_atom_site_label
_atom_site_fract_x
_atom_site_fract_y
_atom_site_fract_z
_atom_site_occupancy
Pu1 0.2500 0.2500 0.2500 1
Hg1 0.0000 0.0000 0.0000 1
Bi1 0.0000 0.0000 0.5000 1
```

Output
- Uncorrected energy: -8.464 eV per atom
- Crystal system: cubic
- Formation energy from the elements: -281.3 meV per atom



(3)
Below is a relaxed Ti4H3 crystal, with properties calculated at the PBE level.

The structure in CIF format:
```
data_Ti4H3
_chemical_formula_sum 'Ti4 H3'
_space_group_name_H-M_alt 'P -4 2 m'
_space_group_IT_number 111
_cell_length_a 4.2245
_cell_length_b 4.2245
_cell_length_c 4.4164
_cell_angle_alpha 90.00
_cell_angle_beta 90.00
_cell_angle_gamma 90.00
loop_
_space_group_symop_operation_xyz
'x,y,z'
'y,-x,-z'
'-x,-y,z'
'-y,x,-z'
'x,-y,-z'
'y,x,z'
'-x,y,-z'
'-y,-x,z'
loop_
_atom_site_label
_atom_site_fract_x
_atom_site_fract_y
_atom_site_fract_z
_atom_site_occupancy
Ti1 0.2439 0.2439 0.2614 1
H1 0.0000 0.0000 0.0000 1
H2 0.5000 0.5000 0.0000 1
H3 0.5000 0.5000 0.5000 1
```

Output
- Uncorrected energy: -6.236 eV per atom
- Crystal system: tetragonal
- Formation energy from the elements: -346.5 meV per atom



What is the uncorrected energy in the second record?
-8.464 eV per atom